## Co2Re5P12 (PBE)

Data for a relaxed Co2Re5P12 crystal.

Crystal system = orthorhombic
Space group = Pnnm, No. 58

Cell lengths 3.0601, 11.9265, 14.9105 Å; angles 90.00, 90.00, 90.00 degrees
Positions (direct):
P  0.0000  0.7745  0.2422
P  0.0000  0.7884  0.5629
Re  0.0000  0.4228  0.2421
Re  0.5000  0.5000  0.5000
P  0.0000  0.9228  0.7619
P  0.5000  0.6542  0.4005
P  0.5000  0.7255  0.7422
Re  0.0000  0.8178  0.3992
P  0.0000  0.4720  0.0737
Co  0.5000  0.1310  0.3455
P  0.0000  0.2255  0.7578
Re  0.0000  0.5772  0.7579
P  0.0000  0.5280  0.9263
Co  0.0000  0.6310  0.1545
P  0.0000  0.3998  0.4045
Re  0.5000  0.0772  0.7421
P  0.5000  0.3458  0.5995
P  0.0000  0.2116  0.4371
P  0.0000  0.0772  0.2381
Re  0.0000  0.0000  0.0000
P  0.0000  0.8458  0.9005
P  0.0000  0.1542  0.0995
P  0.5000  0.5772  0.2619
P  0.5000  0.8998  0.0955
Re  0.5000  0.3178  0.1008
P  0.5000  0.2745  0.2578
P  0.5000  0.9720  0.4263
Co  0.0000  0.3690  0.8455
P  0.5000  0.2884  0.9371
P  0.5000  0.0280  0.5737
Re  0.5000  0.6822  0.8992
P  0.5000  0.1002  0.9045
P  0.5000  0.4228  0.7381
Re  0.0000  0.1822  0.6008
P  0.5000  0.7116  0.0629
Co  0.5000  0.8690  0.6545
Re  0.5000  0.9228  0.2579
P  0.0000  0.6002  0.5955

***

## CoPS (PBE)

Data for a relaxed CoPS crystal.

Crystal system = cubic
Space group = P2_13, No. 198
Largest piezoelectric modulus = 0.1 C/m²

Cell lengths 5.4156, 5.4156, 5.4156 Å; angles 90.00, 90.00, 90.00 degrees
Positions (direct):
S  0.6155  0.6155  0.6155
S  0.8845  0.3845  0.1155
P  0.1153  0.6153  0.8847
P  0.6153  0.8847  0.1153
P  0.3847  0.3847  0.3847
Co  0.9979  0.9979  0.9979
S  0.1155  0.8845  0.3845
S  0.3845  0.1155  0.8845
Co  0.5021  0.0021  0.4979
P  0.8847  0.1153  0.6153
Co  0.4979  0.5021  0.0021
Co  0.0021  0.4979  0.5021

***

## ScCoP (PBE)

Data for a relaxed ScCoP crystal.

Crystal system = orthorhombic
Space group = Pnma, No. 62

Cell lengths 3.7582, 6.2763, 7.0246 Å; angles 90.00, 90.00, 90.00 degrees
Positions (direct):
Co  0.7500  0.8531  0.5603
Sc  0.2500  0.5186  0.6837
P  0.2500  0.2792  0.1162
Sc  0.2500  0.0186  0.8163
Co  0.2500  0.6469  0.0603
P  0.7500  0.2208  0.6162
Co  0.7500  0.3531  0.9397
Co  0.2500  0.1469  0.4397
P  0.7500  0.7208  0.8838
Sc  0.7500  0.4814  0.3163
P  0.2500  0.7792  0.3838
Sc  0.7500  0.9814  0.1837

***

## ScCo5P3 (PBE)

Data for a relaxed ScCo5P3 crystal.

Crystal system = orthorhombic
Space group = Pnma, No. 62

Cell lengths 3.5791, 10.1664, 11.6173 Å; angles 90.00, 90.00, 90.00 degrees
Positions (direct):
Co  0.2500  0.7177  0.9909
Sc  0.7500  0.4178  0.2968
Sc  0.2500  0.9178  0.2032
Co  0.2500  0.0332  0.4312
Co  0.2500  0.4668  0.9312
P  0.2500  0.9015  0.8894
Co  0.7500  0.1167  0.3008
Co  0.2500  0.8833  0.6992
Sc  0.2500  0.5822  0.7032
Co  0.7500  0.7790  0.8234
Co  0.2500  0.2790  0.6766
P  0.2500  0.5985  0.3894
P  0.2500  0.2665  0.8691
Co  0.2500  0.7823  0.4909
P  0.7500  0.7665  0.6309
Co  0.2500  0.6167  0.1992
Co  0.7500  0.2177  0.5091
P  0.2500  0.2335  0.3691
Co  0.2500  0.4083  0.4856
Co  0.7500  0.2823  0.0091
P  0.7500  0.9183  0.3858
P  0.2500  0.0817  0.6142
Sc  0.7500  0.0822  0.7968
Co  0.7500  0.3833  0.8008
Co  0.7500  0.9668  0.5688
P  0.7500  0.7335  0.1309
Co  0.7500  0.9083  0.0144
P  0.2500  0.4183  0.1142
Co  0.2500  0.2210  0.1766
Co  0.7500  0.7210  0.3234
P  0.7500  0.5817  0.8858
Co  0.2500  0.0917  0.9856
P  0.7500  0.4015  0.6106
Co  0.7500  0.5332  0.0688
Co  0.7500  0.5917  0.5144
P  0.7500  0.0985  0.1106

***

## Sc2Co12P7 (PBE)

Data for a relaxed Sc2Co12P7 crystal.

Crystal system = hexagonal
Space group = P-6, No. 174

Cell lengths 8.9568, 8.9568, 3.5373 Å; angles 90.00, 90.00, 120.00 degrees
Positions (direct):
P  0.4489  0.3739  0.5000
Co  0.2706  0.2284  0.0000
Co  0.3887  0.1040  0.5000
Co  0.0577  0.5118  0.0000
Co  0.7716  0.0422  0.0000
Co  0.9578  0.7294  0.0000
Co  0.4541  0.9423  0.0000
P  0.7429  0.7839  0.0000
Co  0.2319  0.4331  0.5000
Co  0.2013  0.7681  0.5000
P  0.3333  0.6667  0.0000
Co  0.7153  0.6113  0.5000
Co  0.5669  0.7987  0.5000
P  0.6261  0.0750  0.5000
Sc  0.6667  0.3333  0.0000
P  0.0410  0.2571  0.0000
P  0.2161  0.9590  0.0000
P  0.9250  0.5511  0.5000
Co  0.4882  0.5459  0.0000
Co  0.8960  0.2847  0.5000
Sc  0.0000  0.0000  0.5000

***

## CoPSe (PBE)

Data for a relaxed CoPSe crystal.

Crystal system = orthorhombic
Space group = Pbca, No. 61

Cell lengths 5.6003, 5.6830, 11.2326 Å; angles 90.00, 90.00, 90.00 degrees
Positions (direct):
Se  0.8813  0.9304  0.8231
Co  0.5137  0.3208  0.6200
P  0.3716  0.1793  0.9357
Se  0.1187  0.4304  0.6769
P  0.1284  0.6793  0.9357
Co  0.9863  0.6792  0.1200
Co  0.4863  0.8208  0.8800
Se  0.1187  0.0696  0.1769
Se  0.3813  0.9304  0.6769
P  0.8716  0.1793  0.5643
Se  0.3813  0.5696  0.1769
P  0.8716  0.3207  0.0643
P  0.6284  0.8207  0.0643
Co  0.9863  0.8208  0.6200
Co  0.5137  0.1792  0.1200
P  0.1284  0.8207  0.4357
P  0.3716  0.3207  0.4357
P  0.6284  0.6793  0.5643
Co  0.0137  0.1792  0.3800
Se  0.8813  0.5696  0.3231
Se  0.6187  0.0696  0.3231
Co  0.4863  0.6792  0.3800
Co  0.0137  0.3208  0.8800
Se  0.6187  0.4304  0.8231

***

no.,energy relative to the elements (eV per atom)
1,-0.43
2,-0.72
3,-1.14
4,-0.85
5,-0.81
6,-0.62